Here is a geometry-optimized LiCo6P7O24 structure from Materials Project. Energies are from GGA+U. Values from VASP.

Cell and atoms, written as Quantum ESPRESSO input:
```
&SYSTEM
  ibrav = 0, nat = 76, ntyp = 4
/
ATOMIC_SPECIES
Li 6.94 Li.upf
Co 58.93 Co.upf
P 30.97 P.upf
O 16.00 O.upf
CELL_PARAMETERS angstrom
5.273 0.000 0.000
0.000 26.544 0.000
-1.920 0.000 6.228
ATOMIC_POSITIONS crystal
Li 0.132 0.250 0.459
Li 0.868 0.750 0.541
Co 0.123 0.682 0.280
Co 0.123 0.818 0.280
Co 0.184 0.545 0.692
Co 0.184 0.955 0.692
Co 0.201 0.098 0.091
Co 0.201 0.402 0.091
Co 0.799 0.598 0.909
Co 0.799 0.902 0.909
Co 0.816 0.045 0.308
Co 0.816 0.455 0.308
Co 0.877 0.182 0.720
Co 0.877 0.318 0.720
P 0.245 0.667 0.808
P 0.245 0.833 0.808
P 0.288 0.523 0.207
P 0.288 0.977 0.207
P 0.317 0.110 0.617
P 0.317 0.390 0.617
P 0.469 0.250 0.904
P 0.531 0.750 0.096
P 0.683 0.610 0.383
P 0.683 0.890 0.383
P 0.712 0.023 0.793
P 0.712 0.477 0.793
P 0.755 0.167 0.192
P 0.755 0.333 0.192
O 0.057 0.663 0.950
O 0.057 0.837 0.950
O 0.113 0.694 0.597
O 0.113 0.806 0.597
O 0.123 0.548 0.994
O 0.123 0.952 0.994
O 0.133 0.520 0.371
O 0.133 0.980 0.371
O 0.137 0.096 0.392
O 0.137 0.404 0.392
O 0.148 0.123 0.769
O 0.148 0.377 0.769
O 0.178 0.250 0.770
O 0.331 0.750 0.224
O 0.394 0.618 0.791
O 0.394 0.882 0.791
O 0.417 0.027 0.174
O 0.417 0.473 0.174
O 0.456 0.058 0.707
O 0.456 0.442 0.707
O 0.483 0.650 0.388
O 0.483 0.850 0.388
O 0.493 0.703 0.940
O 0.493 0.797 0.940
O 0.507 0.203 0.060
O 0.507 0.297 0.060
O 0.517 0.150 0.612
O 0.517 0.350 0.612
O 0.544 0.558 0.293
O 0.544 0.942 0.293
O 0.583 0.527 0.826
O 0.583 0.973 0.826
O 0.606 0.118 0.209
O 0.606 0.382 0.209
O 0.669 0.250 0.776
O 0.822 0.750 0.230
O 0.852 0.623 0.231
O 0.852 0.877 0.231
O 0.863 0.596 0.608
O 0.863 0.904 0.608
O 0.867 0.020 0.629
O 0.867 0.480 0.629
O 0.877 0.048 0.006
O 0.877 0.452 0.006
O 0.887 0.194 0.403
O 0.887 0.306 0.403
O 0.943 0.163 0.050
O 0.943 0.337 0.050
```

Properties
Total magnetic moment = 36.01 Bohr magnetons per cell
Calculated formation energy = -2302 meV per atom
VASP energy = -6.904 eV/atom
Calculated density = 3.7 g cm⁻³